Entry 1:
Sr4Ca4Mn5Fe3O20 | PBE+U | optimized geometry

Geometry as extended XYZ:
```
144
Lattice="11.038 0.000 0.000 -0.001 11.167 0.000 -5.495 -5.580 15.807" Properties=species:S:1:pos:R:3 pbc="T T T"
Sr 0.000 0.000 0.000
Sr 5.549 -0.006 15.784
Sr -2.730 2.797 12.264
Sr 0.001 5.602 4.460
Sr 2.765 8.282 0.011
Sr -0.007 5.497 12.266
Sr 2.749 2.695 4.433
Sr 5.490 0.011 0.001
Sr 0.013 -0.004 15.806
Sr 2.764 -2.777 12.277
Sr 2.772 2.788 12.273
Sr 5.533 -0.005 4.476
Sr 8.258 8.284 0.004
Sr 2.787 -2.870 15.781
Sr 5.546 5.491 12.281
Sr 8.293 2.697 4.448
Ca -2.746 -2.734 12.356
Ca 0.002 0.036 4.540
Ca -2.746 -2.921 15.713
Ca 0.010 -0.150 7.857
Ca 0.022 5.424 7.825
Ca 0.017 -0.148 12.339
Ca 2.770 8.232 4.526
Ca 2.778 -2.726 7.819
Ca 2.780 2.854 7.824
Ca 5.514 5.660 4.534
Ca 5.532 -0.162 7.878
Ca 5.539 5.427 7.834
Ca 5.548 -0.139 12.366
Ca 8.291 8.233 4.541
Ca 8.291 -2.722 7.841
Ca 8.301 2.858 7.847
Mn -2.548 0.211 10.072
Mn -2.541 5.901 10.031
Mn 0.211 3.021 2.205
Mn 0.201 8.659 2.281
Mn -2.741 5.548 14.032
Mn 0.184 -3.100 10.018
Mn 0.214 2.378 10.030
Mn 2.923 -0.350 2.283
Mn 2.967 5.248 2.228
Mn -0.007 -2.835 14.047
Mn 0.014 2.740 14.022
Mn 5.664 3.104 2.281
Mn 2.973 5.872 10.037
Mn 2.981 0.255 10.057
Mn 5.708 8.595 2.296
Mn 5.507 2.751 6.218
Mn 8.420 5.272 2.233
Mn 5.730 2.381 10.052
Mn 5.769 -3.100 10.067
Mn 8.495 -0.389 2.286
Fe -2.733 -0.052 14.020
Fe -0.016 8.342 6.193
Fe -0.008 2.733 6.233
Fe 2.745 -0.048 6.205
Fe 2.755 5.542 6.214
Fe 2.761 -0.037 14.009
Fe 2.763 5.535 14.042
Fe 5.505 8.322 6.204
Fe 5.539 2.746 14.007
Fe 8.252 5.542 6.217
Fe 5.544 -2.837 14.030
Fe 8.271 -0.048 6.217
O -2.837 -0.377 8.284
O -0.048 2.580 0.372
O -0.690 4.817 2.243
O -3.315 2.053 9.956
O -0.014 8.199 0.435
O -3.321 -3.375 10.070
O -0.596 -0.640 2.355
O -1.386 -1.426 5.998
O -4.124 1.334 13.921
O -1.394 4.157 6.074
O -4.074 -4.213 13.935
O -4.099 4.159 14.137
O -1.403 6.938 6.378
O -4.078 -1.486 14.149
O -1.372 1.314 6.370
O -0.126 8.094 4.056
O -2.809 -0.274 11.909
O -2.733 5.399 11.831
O 0.003 2.473 4.039
O -0.141 3.043 8.284
O -0.122 -2.488 8.255
O -0.602 6.190 9.935
O 2.712 0.192 0.479
O 2.155 3.391 2.109
O 2.778 5.730 0.388
O 2.129 8.922 2.359
O -0.549 0.502 10.081
O -1.402 -4.195 13.927
O 1.371 -1.450 6.003
O -1.316 1.323 13.895
O 1.394 4.127 6.096
O -1.370 -1.472 14.119
O -1.363 4.155 14.151
O 1.374 1.342 6.400
O 1.396 6.971 6.364
O -0.063 -2.619 11.824
O 2.679 5.785 4.051
O 2.675 0.193 4.088
O 0.006 2.921 11.813
O 5.389 2.629 0.468
O 2.666 5.220 8.293
O 2.125 -3.456 9.950
O 2.705 -0.373 8.286
O 4.831 -0.759 2.253
O 2.177 2.109 9.939
O 5.519 8.160 0.474
O 4.904 4.975 2.370
O 4.111 -1.461 6.057
O 1.374 1.350 13.931
O 1.372 -4.211 13.981
O 1.366 -1.447 14.099
O 4.175 4.161 6.047
O 1.385 4.122 14.119
O 4.141 6.904 6.369
O 4.158 1.352 6.390
O 2.661 -0.180 11.889
O 5.386 8.044 4.098
O 2.742 5.431 11.885
O 5.472 2.515 4.119
O 5.398 3.050 8.243
O 5.457 -2.521 8.290
O 7.593 3.436 2.219
O 8.232 5.701 0.379
O 4.912 6.218 9.965
O 8.237 0.074 0.441
O 4.951 0.475 10.096
O 7.658 8.938 2.378
O 6.848 4.136 6.052
O 4.164 -4.243 13.959
O 4.178 1.324 13.914
O 6.922 -1.481 6.052
O 4.173 -1.416 14.084
O 4.153 4.145 14.138
O 6.887 6.939 6.347
O 6.882 1.384 6.405
O 8.171 5.815 4.057
O 8.212 0.193 4.066
O 5.525 -2.620 11.899
O 5.517 2.946 11.902
O 8.111 5.237 8.280
```

Summary:
Final energy (eV per atom): -6.80
Symmetry: No. 1


Entry 2:
Sr7CaMn3Fe5O20 | PBE+U | optimized geometry

Geometry as extended XYZ:
```
144
Lattice="11.184 0.000 0.000 -0.041 11.342 0.000 -5.537 -5.657 15.859" Properties=species:S:1:pos:R:3 pbc="T T T"
Sr 0.000 0.000 0.000
Sr -2.770 -2.795 7.947
Sr -5.555 0.022 15.859
Sr -2.787 2.851 7.969
Sr -2.763 -2.778 12.430
Sr -2.784 2.852 12.411
Sr 0.013 0.012 4.518
Sr -0.004 5.678 4.509
Sr 2.783 2.730 0.005
Sr -0.017 5.532 7.964
Sr 2.766 8.391 0.001
Sr 0.023 -0.098 8.008
Sr -0.008 5.520 12.433
Sr 2.800 2.727 4.514
Sr 2.783 8.400 4.512
Sr 2.811 -2.779 7.971
Sr 5.558 11.340 0.004
Sr 0.043 0.026 15.856
Sr 2.812 2.865 7.982
Sr 2.829 -2.767 12.415
Sr 5.609 0.010 4.515
Sr 5.587 5.678 4.514
Sr 2.827 2.731 15.855
Sr 2.848 -2.925 15.858
Sr 5.602 -0.106 7.996
Sr 5.573 5.554 7.999
Sr 8.371 8.401 4.509
Sr 8.394 2.725 4.512
Ca 0.034 -0.146 12.471
Ca 2.834 2.932 12.481
Ca 5.590 -0.156 12.489
Ca 5.580 5.500 12.487
Mn -0.193 3.102 2.251
Mn -2.979 0.295 10.226
Mn -0.218 8.772 2.252
Mn 2.613 -0.369 2.254
Mn 2.596 5.302 2.253
Mn -0.164 2.469 10.223
Mn 5.399 3.106 2.255
Mn 5.379 8.770 2.253
Mn 5.375 2.446 10.252
Mn 8.208 -0.370 2.252
Mn 8.189 5.305 2.250
Mn 5.430 -3.188 10.229
Fe -3.030 6.012 10.227
Fe -2.750 -0.035 14.103
Fe -2.775 5.624 14.128
Fe 0.019 2.780 6.241
Fe 0.000 8.465 6.229
Fe -0.186 -3.247 10.205
Fe 0.058 -2.864 14.141
Fe 0.045 2.778 14.097
Fe 2.827 -0.045 6.226
Fe 2.805 5.622 6.226
Fe 2.602 0.387 10.258
Fe 2.597 6.021 10.210
Fe 2.851 -0.031 14.078
Fe 2.831 5.624 14.118
Fe 5.586 8.453 6.233
Fe 5.606 2.783 6.239
Fe 5.621 2.790 14.093
Fe 5.645 -2.882 14.112
Fe 8.393 5.619 6.222
Fe 8.410 -0.043 6.242
O -2.761 -0.232 8.401
O 0.016 8.253 0.442
O 0.045 2.575 0.438
O -2.723 5.345 8.480
O -4.162 -4.333 13.978
O -4.190 1.342 13.999
O -1.375 -1.476 6.141
O -1.392 4.198 6.121
O -4.186 4.233 14.227
O -4.156 -1.446 14.229
O -1.385 1.376 6.331
O -1.404 7.050 6.365
O -2.112 -3.595 10.197
O 0.032 8.256 4.075
O 0.060 2.587 4.067
O -2.084 2.073 10.193
O 0.723 -0.767 2.259
O 0.703 4.907 2.254
O -2.658 -0.241 12.006
O -2.652 5.329 11.939
O 2.843 0.157 0.443
O 2.830 5.820 0.444
O 0.071 2.960 8.392
O 0.115 -2.592 8.458
O -1.348 -4.274 14.016
O 1.426 -1.451 6.129
O 1.402 4.217 6.140
O -1.339 1.362 14.012
O -1.343 -1.459 14.230
O 1.417 1.353 6.344
O -1.373 4.195 14.274
O 1.388 7.030 6.360
O 0.664 6.367 10.216
O 0.120 -2.494 11.911
O 2.837 5.823 4.074
O 2.863 0.151 4.069
O 3.503 3.500 2.256
O 3.484 9.172 2.253
O 0.697 0.643 10.321
O 0.097 3.024 12.006
O 5.641 2.586 0.439
O 5.634 8.245 0.448
O 2.895 5.348 8.467
O 2.925 -0.273 8.495
O 1.452 -4.304 14.005
O 1.447 1.361 13.945
O 4.221 -1.475 6.132
O 4.201 4.196 6.128
O 1.435 -1.426 14.232
O 4.205 1.373 6.344
O 4.184 7.043 6.349
O 1.446 4.204 14.221
O 3.386 2.166 10.317
O 3.458 -3.577 10.202
O 5.645 2.589 4.069
O 5.626 8.253 4.072
O 6.316 -0.764 2.258
O 6.296 4.907 2.256
O 2.941 5.265 11.911
O 3.026 -0.341 11.945
O 5.630 2.939 8.419
O 8.446 0.150 0.437
O 8.425 5.832 0.443
O 5.681 -2.717 8.409
O 4.225 1.393 13.945
O 4.267 -4.317 13.970
O 7.011 -1.462 6.134
O 6.989 4.216 6.145
O 6.997 1.359 6.328
O 4.218 4.200 14.225
O 4.252 -1.457 14.253
O 6.986 7.022 6.349
O 8.452 0.145 4.066
O 5.678 -2.566 11.989
O 8.432 5.824 4.073
O 6.259 0.643 10.336
O 5.668 3.105 12.000
O 6.249 6.360 10.329
O 9.095 3.502 2.255
O 9.073 9.172 2.253
```

Summary:
Final energy (eV per atom): -6.65
Symmetry: No. 1


Entry 3:
Sr2Ca2Mn3FeO12 | PBE+U | optimized geometry

Geometry as extended XYZ:
```
40
Lattice="7.736 0.000 0.000 0.000 7.685 0.000 -0.001 0.000 7.738" Properties=species:S:1:pos:R:3 pbc="T T T"
Sr 0.000 0.000 0.000
Sr 7.734 3.843 7.738
Sr 3.872 0.000 7.738
Sr 3.872 3.843 3.874
Ca 7.733 0.000 3.875
Ca 7.734 3.843 3.875
Ca 3.874 0.000 3.875
Ca 3.873 3.843 7.737
Mn 1.936 1.921 5.799
Mn 1.936 5.764 5.799
Mn 5.804 1.922 1.946
Mn 5.803 1.922 5.798
Mn 5.804 5.764 1.946
Mn 5.803 5.763 5.798
Fe 1.936 1.921 1.947
Fe 1.936 5.764 1.947
O 7.733 1.921 5.765
O 7.733 5.764 5.765
O 1.920 1.906 3.901
O 1.920 5.779 3.901
O 1.936 0.000 1.972
O 1.936 0.000 5.768
O 1.936 3.843 1.943
O 1.935 3.843 5.801
O 1.951 1.937 7.711
O 1.951 5.748 7.711
O 3.874 1.921 5.802
O 3.874 5.764 5.802
O 3.899 1.921 1.943
O 3.899 5.764 1.943
O 5.784 1.940 7.736
O 5.784 5.745 7.736
O 5.804 0.000 1.977
O 5.803 0.000 5.766
O 5.804 3.843 1.940
O 5.804 3.843 5.803
O 5.822 1.903 3.876
O 5.822 5.782 3.876
O 7.709 1.921 1.974
O 7.709 5.764 1.974
```

Summary:
Final energy (eV per atom): -6.74
Symmetry: No. 6


- The lowest final energy belongs to which entry?
  Sr4Ca4Mn5Fe3O20